A:
VASP calculation (GGA-PBE) on an optimized crystal structure of Er2TiO5.

Output
**Space-group type**: No. 8
**Calculated volume**: 825 Å³ per cell
**Spin magnetization**: 0.001 μB/cell

Geometry as POSCAR:
```
Er2TiO5
1.0
6.440 -3.622 0.000
6.440 3.622 0.000
-0.163 0.000 17.688
Er Ti O
16 8 40
Direct
0.000 0.000 0.000
0.034 0.034 0.477
0.189 0.678 0.652
0.190 0.190 0.637
0.330 0.330 0.812
0.334 0.826 0.308
0.501 0.501 0.483
0.515 0.996 0.991
0.519 0.519 0.992
0.667 0.667 0.158
0.674 0.674 0.664
0.678 0.189 0.652
0.826 0.334 0.308
0.834 0.834 0.827
0.844 0.844 0.331
0.996 0.515 0.991
0.176 0.668 0.149
0.179 0.179 0.158
0.343 0.849 0.819
0.350 0.350 0.323
0.516 0.992 0.485
0.668 0.176 0.149
0.849 0.343 0.819
0.992 0.516 0.485
0.013 0.013 0.357
0.030 0.499 0.867
0.047 0.508 0.139
0.135 0.135 0.809
0.141 0.507 0.393
0.158 0.661 0.258
0.166 0.721 0.528
0.172 0.172 0.045
0.203 0.637 0.033
0.206 0.206 0.510
0.217 0.217 0.268
0.229 0.682 0.803
0.291 0.884 0.179
0.317 0.880 0.695
0.325 0.829 0.929
0.337 0.337 0.691
0.408 0.834 0.442
0.490 0.490 0.143
0.497 0.497 0.348
0.499 0.030 0.867
0.507 0.141 0.393
0.508 0.047 0.139
0.522 0.522 0.608
0.535 0.964 0.589
0.637 0.203 0.033
0.654 0.654 0.795
0.661 0.158 0.258
0.673 0.673 0.036
0.682 0.229 0.803
0.688 0.688 0.280
0.721 0.166 0.528
0.797 0.797 0.451
0.829 0.325 0.929
0.834 0.408 0.442
0.849 0.849 0.950
0.855 0.855 0.701
0.880 0.317 0.695
0.884 0.291 0.179
0.933 0.933 0.123
0.964 0.535 0.589
```



B:
VASP calculation (GGA-PBE) on an optimized crystal structure of Er2TiO5.

Output
**Space-group type**: No. 63
**Calculated volume**: 233 Å³ per cell
**Spin magnetization**: 0.000 μB/cell

Geometry as POSCAR:
```
Er2TiO5
1.0
2.036 -5.476 0.000
2.036 5.476 0.000
0.000 0.000 10.451
Er Ti O
4 2 10
Direct
0.143 0.857 0.569
0.143 0.857 0.931
0.857 0.143 0.069
0.857 0.143 0.431
0.173 0.827 0.250
0.827 0.173 0.750
0.052 0.948 0.123
0.052 0.948 0.377
0.272 0.728 0.750
0.292 0.708 0.090
0.292 0.708 0.410
0.708 0.292 0.590
0.708 0.292 0.910
0.728 0.272 0.250
0.948 0.052 0.623
0.948 0.052 0.877
```



C:
VASP calculation (GGA-PBE) on an optimized crystal structure of Er2TiO5.

Output
**Space-group type**: No. 15
**Calculated volume**: 210 Å³ per cell
**Spin magnetization**: 0.000 μB/cell

Geometry as POSCAR:
```
Er2TiO5
1.0
5.800 -2.627 0.000
5.800 2.627 0.000
-2.995 0.000 6.885
Er Ti O
4 2 10
Direct
0.129 0.147 0.250
0.147 0.129 0.750
0.853 0.871 0.250
0.871 0.853 0.750
0.500 0.500 0.000
0.500 0.500 0.500
0.109 0.748 0.045
0.187 0.473 0.360
0.252 0.891 0.455
0.331 0.669 0.750
0.473 0.187 0.860
0.527 0.813 0.140
0.669 0.331 0.250
0.748 0.109 0.545
0.813 0.527 0.640
0.891 0.252 0.955
```



Stability check: which of them is least stable? A.



A:
VASP calculation (GGA-PBE) on an optimized crystal structure of LiHPd.

Output
**Space-group type**: No. 123
**Calculated volume**: 31 Å³ per cell

Geometry as POSCAR:
```
LiHPd
1.0
2.809 0.000 0.000
0.000 2.809 0.000
0.000 0.000 3.916
Li H Pd
1 1 1
Direct
0.000 0.000 0.000
0.000 0.000 0.500
0.500 0.500 0.500
```



B:
VASP calculation (GGA-PBE) on an optimized crystal structure of LiHPd.

Output
**Space-group type**: No. 123
**Calculated volume**: 37 Å³ per cell
**Spin magnetization**: 0.000 μB/cell

Geometry as POSCAR:
```
LiHPd
1.0
2.771 0.000 0.000
0.000 2.771 0.000
0.000 0.000 4.844
Li H Pd
1 1 1
Direct
0.000 0.000 0.000
0.500 0.500 0.500
0.000 0.000 0.500
```



Stability check: which of them is least stable? B.



A:
VASP calculation (GGA-PBE) on an optimized crystal structure of MgSb2O4.

Output
**Space-group type**: No. 1
**Calculated volume**: 233 Å³ per cell
**Spin magnetization**: 0.000 μB/cell
**Largest piezoelectric modulus**: 0.723 C/m²

Geometry as POSCAR:
```
MgSb2O4
1.0
6.705 0.000 0.000
-3.130 6.011 0.000
-3.256 -2.096 5.791
Mg Sb O
2 4 8
Direct
0.000 0.000 0.000
0.481 0.233 0.741
0.136 0.587 0.269
0.324 0.708 0.887
0.687 0.566 0.415
0.814 0.106 0.430
0.186 0.812 0.073
0.201 0.304 0.602
0.255 0.374 0.181
0.272 0.894 0.691
0.697 0.371 0.608
0.749 0.918 0.118
0.752 0.366 0.073
0.780 0.871 0.631
```



B:
VASP calculation (GGA-PBE) on an optimized crystal structure of MgSb2O4.

Output
**Space-group type**: No. 1
**Calculated volume**: 701 Å³ per cell
**Spin magnetization**: 0.000 μB/cell

Geometry as POSCAR:
```
MgSb2O4
1.0
6.513 0.000 0.000
3.232 6.352 0.000
0.221 0.170 16.949
Mg Sb O
6 12 24
Direct
0.000 0.000 0.000
0.037 0.069 0.635
0.131 0.733 0.800
0.410 0.022 0.138
0.770 0.576 0.326
0.893 0.331 0.480
0.128 0.270 0.799
0.305 0.408 0.609
0.349 0.835 0.439
0.367 0.254 0.333
0.392 0.593 0.121
0.418 0.193 0.974
0.629 0.739 0.698
0.640 0.622 0.923
0.686 0.161 0.805
0.843 0.845 0.510
0.931 0.516 0.157
0.979 0.957 0.268
0.059 0.329 0.379
0.081 0.314 0.575
0.125 0.716 0.580
0.163 0.776 0.359
0.190 0.467 0.721
0.202 0.138 0.042
0.222 0.866 0.185
0.237 0.711 0.021
0.294 0.234 0.223
0.296 0.931 0.712
0.459 0.596 0.837
0.503 0.934 0.355
0.544 0.927 0.907
0.607 0.851 0.586
0.616 0.557 0.430
0.618 0.718 0.105
0.672 0.098 0.050
0.757 0.426 0.228
0.811 0.905 0.733
0.833 0.116 0.537
0.871 0.263 0.733
0.896 0.723 0.247
0.931 0.557 0.850
0.962 0.025 0.875
```



Stability check: which of them is least stable? A.



A:
VASP calculation (GGA-PBE) on an optimized crystal structure of TcC4NO4.

Output
**Space-group type**: No. 18
**Calculated volume**: 704 Å³ per cell
**Spin magnetization**: 0.002 μB/cell

Geometry as POSCAR:
```
TcC4NO4
1.0
9.902 0.000 0.000
0.000 10.854 0.000
0.000 0.000 6.547
Tc C N O
4 16 4 16
Direct
0.225 0.232 0.053
0.275 0.732 0.947
0.725 0.268 0.947
0.775 0.768 0.053
0.046 0.048 0.307
0.061 0.062 0.526
0.070 0.509 0.673
0.113 0.566 0.482
0.387 0.066 0.518
0.430 0.009 0.327
0.439 0.562 0.474
0.454 0.548 0.693
0.546 0.452 0.693
0.561 0.438 0.474
0.570 0.991 0.327
0.613 0.934 0.518
0.887 0.434 0.482
0.930 0.491 0.673
0.939 0.938 0.526
0.954 0.952 0.307
0.000 0.000 0.680
0.000 0.500 0.429
0.500 0.000 0.571
0.500 0.500 0.320
0.106 0.112 0.161
0.111 0.692 0.891
0.198 0.377 0.148
0.209 0.239 0.794
0.291 0.739 0.206
0.302 0.877 0.852
0.389 0.192 0.109
0.394 0.612 0.839
0.606 0.388 0.839
0.611 0.808 0.109
0.698 0.123 0.852
0.709 0.261 0.206
0.791 0.761 0.794
0.802 0.623 0.148
0.889 0.308 0.891
0.894 0.888 0.161
```



B:
VASP calculation (GGA-PBE) on an optimized crystal structure of TcC4NO4.

Output
**Space-group type**: No. 18
**Calculated volume**: 662 Å³ per cell
**Spin magnetization**: 0.000 μB/cell

Geometry as POSCAR:
```
TcC4NO4
1.0
10.070 0.000 0.000
0.000 11.903 0.000
0.000 0.000 5.521
Tc C N O
4 16 4 16
Direct
0.231 0.243 0.092
0.269 0.743 0.908
0.731 0.257 0.908
0.769 0.757 0.092
0.001 0.053 0.616
0.038 0.083 0.363
0.059 0.581 0.678
0.072 0.461 0.594
0.428 0.961 0.406
0.441 0.081 0.322
0.462 0.583 0.637
0.499 0.553 0.384
0.501 0.447 0.384
0.538 0.417 0.637
0.559 0.919 0.322
0.572 0.039 0.406
0.928 0.539 0.594
0.941 0.419 0.678
0.962 0.917 0.363
0.999 0.947 0.616
0.000 0.000 0.207
0.000 0.500 0.373
0.500 0.000 0.627
0.500 0.500 0.793
0.097 0.174 0.305
0.118 0.672 0.709
0.214 0.203 0.797
0.245 0.382 0.162
0.255 0.882 0.838
0.286 0.703 0.203
0.382 0.172 0.291
0.403 0.674 0.695
0.597 0.326 0.695
0.618 0.828 0.291
0.714 0.297 0.203
0.745 0.118 0.838
0.755 0.618 0.162
0.786 0.797 0.797
0.882 0.328 0.709
0.903 0.826 0.305
```



Stability check: which of them is least stable? A.